No. 1
24
Lattice="10.389 0.000 0.000 -5.194 8.997 0.000 0.000 0.000 6.983" Properties=species:S:1:pos:R:3 comment="Dy8In3Co, optimized geometry, DFT PBE" space_group="No. 186" m_tot_mub_per_fu=0.00 pbc="T T T"
Dy 0.000 0.000 1.946
Dy 0.000 0.000 5.438
Dy -2.069 4.804 2.021
Dy 0.000 3.190 0.000
Dy -2.432 7.402 0.000
Dy 0.000 5.998 4.745
Dy 2.762 1.595 3.492
Dy 2.069 4.804 2.021
Dy 0.000 8.387 2.021
Dy 5.194 0.610 5.512
Dy 3.126 4.193 5.512
Dy 2.432 7.402 0.000
Dy 5.194 2.999 1.254
Dy 7.626 1.595 3.492
Dy 5.194 5.807 3.492
Dy 7.263 4.193 5.512
In 0.000 2.948 3.752
In -2.641 7.523 3.752
In 2.553 1.474 0.260
In 2.641 7.523 3.752
In 7.836 1.474 0.260
In 5.194 6.049 0.260
Co 0.000 5.998 0.465
Co 5.194 2.999 3.956



No. 2
9
Lattice="7.880 0.000 0.000 -3.940 6.824 0.000 0.000 0.000 3.589" Properties=species:S:1:pos:R:3 comment="Dy3In4Co2, optimized geometry, DFT PBE" space_group="No. 174" pbc="T T T"
Dy -1.322 2.846 0.000
Dy -0.814 6.546 0.000
Dy 2.136 4.256 0.000
In 1.014 1.721 1.794
In 3.940 2.275 1.794
In 5.882 0.018 1.794
In 4.923 5.085 1.794
Co 0.000 0.000 0.000
Co 0.000 4.549 1.794



No. 3
24
Lattice="0.000 6.754 6.754 6.754 0.000 6.754 6.754 6.754 0.000" Properties=species:S:1:pos:R:3 comment="Dy4MgCo, optimized geometry, DFT PBE" space_group="No. 216" pbc="T T T"
Dy 8.853 4.655 4.655
Dy 3.377 3.377 0.858
Dy 3.377 0.858 3.377
Dy 5.896 3.377 3.377
Dy 6.754 6.754 2.512
Dy 6.754 2.512 6.754
Dy 10.997 6.754 6.754
Dy 0.858 3.377 3.377
Dy 3.377 5.896 3.377
Dy 3.377 3.377 5.896
Dy 4.655 8.853 4.655
Dy 4.655 4.655 8.853
Dy 8.853 8.853 8.853
Dy 2.512 6.754 6.754
Dy 6.754 10.997 6.754
Dy 6.754 6.754 10.997
Mg 5.691 5.691 5.691
Mg 7.818 7.818 5.691
Mg 7.818 5.691 7.818
Mg 5.691 7.818 7.818
Co 11.606 8.657 8.657
Co 8.657 11.606 8.657
Co 8.657 8.657 11.606
Co 11.606 11.606 11.606



No. 4
9
Lattice="7.442 0.000 0.000 0.000 3.699 0.000 -2.753 0.000 7.659" Properties=species:S:1:pos:R:3 comment="Dy4Mg3Co2, optimized geometry, DFT PBE" space_group="No. 10" pbc="T T T"
Dy 0.108 0.000 1.730
Dy 1.083 0.000 5.210
Dy 3.605 0.000 2.449
Dy 4.580 0.000 5.929
Mg -1.377 1.850 3.830
Mg 2.177 1.850 0.010
Mg 2.512 1.850 7.649
Co 1.534 1.850 3.028
Co 3.155 1.850 4.631



No. 5
13
Lattice="-2.340 4.224 4.231 2.340 -4.224 4.231 2.340 4.224 -4.231" Properties=species:S:1:pos:R:3 comment="DyCo10Mo2, optimized geometry, DFT PBE" space_group="No. 71" m_tot_mub_per_fu=12.51 pbc="T T T"
Dy 0.000 0.000 0.000
Co 1.170 2.112 -2.115
Co 1.170 -2.112 2.115
Co 2.340 1.774 0.000
Co 2.340 0.000 1.875
Co 0.000 3.034 0.000
Co -1.170 2.112 2.115
Co 1.170 2.112 2.115
Co 0.000 5.413 0.000
Co 0.000 4.224 2.355
Co 0.000 2.449 4.231
Mo 0.000 0.000 3.034
Mo 0.000 0.000 5.427



No. 6
12
Lattice="4.991 0.000 0.000 0.000 5.018 0.000 0.000 0.000 7.160" Properties=species:S:1:pos:R:3 comment="DyCoNi, optimized geometry, DFT PBE" space_group="No. 74" pbc="T T T"
Dy 0.000 1.255 0.877
Dy 0.000 3.764 6.283
Dy 2.496 1.255 2.703
Dy 2.496 3.764 4.458
Co 1.248 1.255 5.370
Co 1.248 3.764 1.790
Co 3.743 1.255 5.370
Co 3.743 3.764 1.790
Ni 0.000 0.000 3.580
Ni 0.000 2.509 3.580
Ni 2.496 0.000 0.000
Ni 2.496 2.509 0.000



No. 7
36
Lattice="11.966 0.000 0.000 -5.983 10.363 0.000 0.000 0.000 3.670" Properties=species:S:1:pos:R:3 comment="Dy5Co19P12, optimized geometry, DFT PBE" space_group="No. 189" m_tot_mub_per_fu=7.65 pbc="T T T"
Dy -4.866 8.427 0.000
Dy 1.118 1.936 0.000
Dy 0.000 6.909 1.835
Dy 5.983 3.454 1.835
Dy 9.731 0.000 0.000
Co 0.000 0.000 1.835
Co -1.708 2.959 0.000
Co -2.683 4.646 1.835
Co -2.342 6.657 0.000
Co -0.137 3.916 1.835
Co -2.524 8.524 1.835
Co 3.417 0.000 0.000
Co 1.389 5.007 0.000
Co 3.460 1.839 1.835
Co 5.365 0.000 1.835
Co 3.641 3.706 0.000
Co 0.953 9.063 0.000
Co 3.301 5.717 1.835
Co 2.661 8.287 1.835
Co 6.936 1.301 0.000
Co 4.275 7.404 0.000
Co 5.846 6.447 1.835
Co 8.644 2.077 1.835
Co 7.372 5.357 0.000
P -1.082 1.875 1.835
P -3.785 6.555 1.835
P -0.894 4.977 0.000
P 2.165 0.000 1.835
P -1.226 8.649 0.000
P 2.198 3.808 1.835
P 4.757 1.714 0.000
P 2.120 7.100 0.000
P 7.569 0.000 1.835
P 5.089 5.386 0.000
P 4.901 8.489 1.835
P 8.103 3.263 0.000



No. 8
36
Lattice="3.694 0.000 0.000 0.000 10.527 0.000 0.000 0.000 12.156" Properties=species:S:1:pos:R:3 comment="DyCo3P2, optimized geometry, DFT PBE" space_group="No. 59" pbc="T T T"
Dy 0.924 0.702 2.501
Dy 0.924 2.632 5.791
Dy 0.924 4.562 2.501
Dy 2.771 5.966 9.655
Dy 2.771 7.895 6.365
Dy 2.771 9.825 9.655
Co 0.924 1.362 8.614
Co 0.924 2.632 0.174
Co 0.924 3.902 8.614
Co 0.924 5.754 5.241
Co 0.924 6.138 12.083
Co 0.924 7.895 1.934
Co 0.924 7.895 8.545
Co 0.924 9.653 12.083
Co 0.924 10.037 5.241
Co 2.771 0.491 6.915
Co 2.771 0.874 0.073
Co 2.771 2.632 3.611
Co 2.771 2.632 10.222
Co 2.771 4.390 0.073
Co 2.771 4.773 6.915
Co 2.771 6.625 3.542
Co 2.771 7.895 11.982
Co 2.771 9.166 3.542
P 0.924 1.036 10.858
P 0.924 4.227 10.858
P 0.924 5.897 7.489
P 0.924 7.895 4.189
P 0.924 7.895 10.727
P 0.924 9.893 7.489
P 2.771 0.634 4.667
P 2.771 2.632 1.429
P 2.771 2.632 7.967
P 2.771 4.630 4.667
P 2.771 6.300 1.298
P 2.771 9.491 1.298



Number 1: total energy -4.6957 eV per atom. Number 2: total energy -4.7079 eV per atom. Number 3: total energy -4.6727 eV per atom. Number 4: total energy -4.3241 eV per atom. Number 5: total energy -7.5247 eV per atom. Number 6: total energy -6.1375 eV per atom. Number 7: total energy -7.0869 eV per atom. Number 8: total energy -7.0651 eV per atom.